V6O5F19 | PBE with a Hubbard U | optimized geometry Values from VASP.

Structure (Quantum ESPRESSO input):
```
&SYSTEM
  ibrav = 0, nat = 30, ntyp = 3
/
ATOMIC_SPECIES
V 50.94 V.upf
F 19.00 F.upf
O 16.00 O.upf
CELL_PARAMETERS angstrom
-3.315 4.143 0.396
-4.215 -3.379 0.808
0.259 -1.147 14.688
ATOMIC_POSITIONS angstrom
V -2.954 -3.112 10.341
V -4.545 2.611 5.571
V -4.028 0.533 0.721
V -4.057 -4.241 15.424
V -4.823 -1.219 5.672
V -2.356 0.482 10.126
F -2.702 2.820 5.599
F -2.600 -2.601 11.999
F -3.888 1.223 10.757
F -3.205 0.019 2.210
F -3.232 2.174 0.814
F -4.426 0.673 5.979
F -2.976 2.559 13.401
F -5.828 -0.695 11.129
F -5.646 -0.753 4.180
F -4.215 -3.116 2.503
F -1.449 -1.145 6.889
F -5.805 0.839 9.039
F -3.899 -0.520 13.648
F -4.632 2.239 3.848
F -1.621 -1.235 14.642
F -1.593 0.502 11.724
F -1.444 0.427 4.745
F -4.691 -1.449 7.417
F -2.602 1.143 8.501
O -5.576 0.831 1.206
O -4.024 -2.618 15.117
O -4.604 -3.150 10.297
O -2.779 -1.105 9.942
O -3.320 -1.621 5.153
```

Volume   421.1 Å³/cell
ΔE_f   -2.7365 eV per atom
Polymorph energy (0 for the lowest one)   9 kJ/mol of formula units
Total energy after the MP2020 corrections   -197.7 eV per cell
Raw total energy   -5.84 eV per atom
Space group   P1, No. 1

***

V6O7F5 | PBE with a Hubbard U | optimized geometry Values from VASP.

Structure (Quantum ESPRESSO input):
```
&SYSTEM
  ibrav = 0, nat = 18, ntyp = 3
/
ATOMIC_SPECIES
V 50.94 V.upf
F 19.00 F.upf
O 16.00 O.upf
CELL_PARAMETERS angstrom
3.284 4.531 0.000
-3.284 4.531 0.000
0.000 2.591 6.886
ATOMIC_POSITIONS angstrom
V 0.000 8.399 5.568
V 0.000 3.227 1.184
V 0.000 4.917 4.712
V 0.000 1.350 3.397
V 0.000 11.609 6.857
V 0.000 6.864 2.286
F 0.000 2.818 4.822
F 0.000 8.899 2.008
F -1.278 4.499 0.009
F 1.278 4.499 0.009
F 0.000 4.826 2.544
O 1.955 6.844 2.328
O -1.955 6.844 2.328
O 2.002 4.816 4.575
O 0.000 4.500 6.686
O 0.000 7.001 0.193
O -2.002 4.816 4.575
O 0.000 6.849 4.455
```

Volume   204.9 Å³/cell
ΔE_f   -2.7486 eV per atom
Polymorph energy (0 for the lowest one)   23 kJ/mol of formula units
Total energy after the MP2020 corrections   -148.2 eV per cell
Raw total energy   -7.27 eV per atom
Space group   Cm, No. 8

***

V3O4F2 | PBE with a Hubbard U | optimized geometry Values from VASP.

Structure (Quantum ESPRESSO input):
```
&SYSTEM
  ibrav = 0, nat = 18, ntyp = 3
/
ATOMIC_SPECIES
O 16.00 O.upf
F 19.00 F.upf
V 50.94 V.upf
CELL_PARAMETERS angstrom
-4.677 -0.003 0.002
0.004 4.675 -6.123
-0.002 -4.705 -3.084
ATOMIC_POSITIONS angstrom
O -3.223 1.446 -3.132
O -0.889 0.930 -1.517
O -1.411 3.182 -6.133
O -1.453 -1.458 -3.000
O -3.795 -0.937 -4.614
O -3.255 1.463 -6.133
O -0.969 0.873 -7.637
O -3.704 -0.932 -7.714
F -1.401 -1.413 -6.210
F -0.972 0.980 -4.610
F -3.280 -3.315 -3.012
F -3.699 -1.008 -1.523
V -2.089 2.244 -7.616
V -2.579 2.399 -4.648
V -4.676 -0.011 -3.057
V -0.136 -0.036 -0.029
V -4.537 0.005 -6.115
V -2.343 -2.358 -4.608
```

Volume   202.2 Å³/cell
ΔE_f   -2.7085 eV per atom
Polymorph energy (0 for the lowest one)   7 kJ/mol of formula units
Total energy after the MP2020 corrections   -150.5 eV per cell
Raw total energy   -7.39 eV per atom
Space group   P1, No. 1

***

V2O3F3 | PBE with a Hubbard U | optimized geometry Values from VASP.

Structure (Quantum ESPRESSO input):
```
&SYSTEM
  ibrav = 0, nat = 16, ntyp = 3
/
ATOMIC_SPECIES
F 19.00 F.upf
O 16.00 O.upf
V 50.94 V.upf
CELL_PARAMETERS angstrom
5.195 0.000 0.000
2.575 4.577 0.000
2.591 1.266 8.793
ATOMIC_POSITIONS angstrom
F 4.762 1.388 5.476
F 8.261 2.792 7.711
F 1.475 0.354 1.067
F 5.535 4.448 3.289
F 4.071 3.985 5.459
F 2.147 3.021 1.057
O 6.197 1.899 3.272
O 4.087 1.029 1.072
O 3.635 2.489 3.316
O 8.991 5.433 7.696
O 6.372 4.770 7.692
O 6.659 3.293 5.421
V 2.663 1.575 2.306
V 5.001 0.080 0.015
V 5.385 2.862 4.406
V 7.665 4.407 6.695
```

Volume   209.1 Å³/cell
ΔE_f   -2.6421 eV per atom
Polymorph energy (0 for the lowest one)   10 kJ/mol of formula units
Total energy after the MP2020 corrections   -119.8 eV per cell
Raw total energy   -6.63 eV per atom
Space group   P1, No. 1

***

V2OF5 | PBE with a Hubbard U | optimized geometry Values from VASP.

Structure (Quantum ESPRESSO input):
```
&SYSTEM
  ibrav = 0, nat = 24, ntyp = 3
/
ATOMIC_SPECIES
F 19.00 F.upf
V 50.94 V.upf
O 16.00 O.upf
CELL_PARAMETERS angstrom
-0.100 4.565 0.767
1.305 -1.436 8.298
6.733 1.005 -5.223
ATOMIC_POSITIONS angstrom
F 1.257 2.697 4.637
F 3.815 1.562 -1.937
F 3.082 3.541 0.074
F 6.822 0.896 1.877
F 5.947 3.402 1.217
F 1.959 0.766 2.646
F 4.230 1.067 1.075
F 4.149 2.565 5.676
F 1.735 1.176 -0.084
F 1.056 3.220 1.941
F 6.725 1.408 -0.711
F 2.446 0.214 5.594
F 4.921 0.638 3.727
F 6.209 2.921 3.882
F 6.071 1.842 -3.434
V 2.640 2.157 1.446
V 5.108 4.190 2.855
V 0.862 1.377 6.095
V 4.528 3.026 -2.976
V 3.409 3.440 7.298
V 7.020 5.073 -1.640
O 5.462 3.867 -1.848
O 3.761 3.183 2.733
O 1.832 2.211 7.191
```

Volume   294.6 Å³/cell
ΔE_f   -3.0039 eV per atom
Polymorph energy (0 for the lowest one)   31 kJ/mol of formula units
Total energy after the MP2020 corrections   -170.2 eV per cell
Raw total energy   -6.29 eV per atom
Space group   P1, No. 1

***

V3O4F2 | PBE with a Hubbard U | optimized geometry Values from VASP.

Structure (Quantum ESPRESSO input):
```
&SYSTEM
  ibrav = 0, nat = 18, ntyp = 3
/
ATOMIC_SPECIES
F 19.00 F.upf
O 16.00 O.upf
V 50.94 V.upf
CELL_PARAMETERS angstrom
1.104 -3.817 -2.543
-7.239 -2.170 0.115
-0.468 3.023 -4.741
ATOMIC_POSITIONS angstrom
F -4.249 0.271 -4.840
F -4.116 -0.891 -2.237
F 0.082 -2.358 -3.391
F -0.253 -0.496 -5.528
O -1.430 -1.114 -0.595
O -5.059 -2.932 -3.948
O -6.213 -2.485 -1.564
O -1.528 -0.075 -3.280
O -6.551 -0.616 -3.697
O -2.603 -2.134 -5.033
O -5.190 -1.778 -6.557
O -2.506 -3.173 -2.347
V -4.152 -3.098 -5.600
V -4.393 -2.966 -2.135
V -7.589 0.703 -4.653
V -2.251 -0.113 -5.184
V -2.569 0.285 -1.542
V -6.879 -2.452 -3.378
```

Volume   200.4 Å³/cell
ΔE_f   -2.6845 eV per atom
Polymorph energy (0 for the lowest one)   28 kJ/mol of formula units
Total energy after the MP2020 corrections   -150.1 eV per cell
Raw total energy   -7.36 eV per atom
Space group   P2_1/c, No. 14